Run P
Here is a relaxed Li3Mn2CoO6 crystal from Materials Project. Energies are from PBE with a Hubbard U.

Summary:
Total magnetic moment = 28.00 μB/cell
V = 451.1 Å³ per cell

Cell lengths 9.8253, 8.7080, 5.3055 Å; angles 90.00, 96.44, 90.00 degrees
Closest atoms and distances in Å follow each position.
Space group C2/m (No. 12)
Unique sites:
1 Li 0.2417 0.1660 0.2223  5 O 2.06-2.16
2 Li 0.2491 0.5000 0.2483  6 O 2.16-2.19
3 Mn 0.0000 0.1656 0.5000  4 O 1.97-1.99
4 Mn 0.0000 0.3320 0.0000  6 O 1.92-1.98
5 Co 0.0000 0.0000 0.0000  6 O 2.07-2.26
6 Co 0.0000 0.5000 0.5000  6 O 2.06-2.25
7 O 0.1050 0.3272 0.3404  2 Mn 1.98-1.99, 1 Co 2.06, 2 Li 2.09-2.16
8 O 0.1142 0.5000 0.8911  2 Mn 1.97, 3 Li 2.16-2.19
9 O 0.1174 0.0000 0.3917  2 Mn 1.97, 3 Li 2.15-2.19
10 O 0.1178 0.1779 0.8832  1 Mn 1.92, 2 Li 2.06, 1 Co 2.07

Run Q
Here is a relaxed Li3Mn2CoO6 crystal from Materials Project. Energies are from PBE with a Hubbard U.

Summary:
Total magnetic moment = 11.54 μB/cell
V = 114.0 Å³ per cell

Cell lengths 2.9934, 2.9934, 14.6937 Å; angles 90.00, 90.00, 120.00 degrees
Closest atoms and distances in Å follow each position.
Space group P-3m1 (No. 164)
Unique sites:
1 Li 0.0000 0.0000 0.0000  6 O 2.18
2 Li 0.3333 0.6667 0.3452  3 O 2.06
3 Mn 0.3333 0.6667 0.8324  6 O 2.02-2.06
4 Co 0.0000 0.0000 0.5000  6 O 2.07
5 O 0.0000 0.0000 0.2391  3 Mn 2.02
6 O 0.3333 0.6667 0.0909  3 Mn 2.06, 3 Li 2.18
7 O 0.3333 0.6667 0.5781  3 Li 2.06, 3 Co 2.07

Short version: run Q is the least stable of them.

Run P
Here is a relaxed LiCo2C2O7 crystal from Materials Project. Energies are from PBE with a Hubbard U.

Summary:
Total magnetic moment = 20.00 μB/cell
V = 582.5 Å³ per cell

Cell lengths 9.6843, 6.3106, 9.9551 Å; angles 90.00, 106.78, 90.00 degrees
Closest atoms and distances in Å follow each position.
Space group P2_1/c (No. 14)
Unique sites:
1 Li 0.0071 0.0991 0.2725  3 O 1.99-2.13
2 Co 0.2976 0.1594 0.8614  5 O 2.01-2.17
3 Co 0.4803 0.0993 0.2284  4 O 1.82-1.96
4 C 0.1760 0.2455 0.0626  3 O 1.27-1.34
5 C 0.2759 0.6653 0.8269  3 O 1.25-1.32
6 O 0.0844 0.2220 0.9429  1 C 1.27
7 O 0.1444 0.1972 0.6744  1 C 1.29
8 O 0.1452 0.6694 0.8224  1 C 1.25
9 O 0.3134 0.2102 0.0675  1 C 1.34
10 O 0.3468 0.6550 0.3286  1 C 1.32
11 O 0.3479 0.0118 0.3345  1 C 1.31
12 O 0.4966 0.1637 0.8366  3 Co 1.82-2.01

Run Q
Here is a relaxed LiCo2C2O7 crystal from Materials Project. Energies are from PBE with a Hubbard U.

Summary:
Total magnetic moment = 42.00 μB/cell
V = 933.6 Å³ per cell

Cell lengths 14.2458, 8.3122, 7.8859 Å; angles 90.00, 91.21, 90.00 degrees
Closest atoms and distances in Å follow each position.
Space group C2 (No. 5)
Unique sites:
1 Li 0.0000 0.0000 0.0000  4 O 2.16-2.23
2 Li 0.1794 0.4702 0.0006  4 O 2.09-2.17
3 Co 0.0026 0.6478 0.2265  4 O 1.80-1.98
4 Co 0.1620 0.1509 0.7608  4 O 1.86-2.02
5 Co 0.1737 0.1461 0.3102  1 O 1.72
6 C 0.0015 0.3136 0.2114  3 O 1.28-1.31
7 C 0.1692 0.8216 0.7936  3 O 1.28-1.31
8 C 0.1702 0.8184 0.2084  3 O 1.28-1.31
9 O 0.0000 0.6770 0.0000  2 Co 1.80
10 O 0.0419 0.4327 0.2862  1 C 1.28
11 O 0.0439 0.1757 0.1994  1 C 1.30
12 O 0.0840 0.3272 0.8525  1 C 1.31
13 O 0.0917 0.8219 0.2850  1 C 1.28
14 O 0.1199 0.9429 0.8487  1 C 1.31
15 O 0.1303 0.6974 0.7269  1 C 1.28
16 O 0.1667 0.1690 0.5262  2 Co 1.72-1.86
17 O 0.2054 0.6855 0.1500  1 C 1.30
18 O 0.2168 0.9528 0.1877  1 C 1.31
19 O 0.2394 0.3281 0.1926  1 C 1.31

Short version: run Q is the least stable of them.

Run P
Here is a relaxed Li3Mn4B4O12 crystal from Materials Project. Energies are from PBE with a Hubbard U.

Summary:
Total magnetic moment = 38.00 μB/cell
V = 504.2 Å³ per cell

Cell lengths 7.9252, 8.2865, 9.0640 Å; angles 68.02, 65.99, 81.63 degrees
Closest atoms and distances in Å follow each position.
Space group P1 (No. 1)
Unique sites:
1 Li 0.0000 0.0000 0.0000  4 O 1.95-2.05
2 Li 0.0959 0.2515 0.3953  4 O 1.96-2.05
3 Li 0.2501 0.7517 0.5042  4 O 1.92-2.05
4 Li 0.4868 0.4984 0.0147  4 O 1.93-2.00
5 Li 0.7351 0.2474 0.5108  4 O 1.95-2.05
6 Li 0.8481 0.5038 0.8931  4 O 1.94-2.07
7 Mn 0.1397 0.2834 0.0172  5 O 2.04-2.27
8 Mn 0.2079 0.7061 0.8842  5 O 2.02-2.12
9 Mn 0.3831 0.0375 0.5338  4 O 2.06-2.20
10 Mn 0.4541 0.4588 0.3815  5 O 2.04-2.15
11 Mn 0.6168 0.8009 0.0366  5 O 2.06-2.24
12 Mn 0.6969 0.2106 0.8764  5 O 2.12-2.28
13 Mn 0.8699 0.5515 0.5167  5 O 2.06-2.22
14 Mn 0.9481 0.9598 0.3798  5 O 2.11-2.27
15 B 0.1204 0.2902 0.6909  3 O 1.36-1.42
16 B 0.2008 0.7140 0.2093  3 O 1.37-1.40
17 B 0.3689 0.0369 0.2041  3 O 1.36-1.41
18 B 0.4533 0.4684 0.7040  3 O 1.36-1.41
19 B 0.6190 0.7695 0.7101  3 O 1.38-1.41
20 B 0.7088 0.2183 0.2046  3 O 1.38-1.41
21 B 0.8746 0.5252 0.1935  3 O 1.38-1.42
22 B 0.9552 0.9647 0.7112  3 O 1.38-1.41
23 O 0.1050 0.7260 0.3735  1 B 1.40
24 O 0.1157 0.8661 0.6865  1 B 1.39
25 O 0.1299 0.7899 0.0847  1 B 1.37
26 O 0.1711 0.1953 0.8251  1 B 1.36
27 O 0.2034 0.1327 0.2270  1 B 1.41
28 O 0.2291 0.2827 0.5248  1 B 1.42
29 O 0.3614 0.4783 0.8707  1 B 1.41
30 O 0.3686 0.6240 0.1796  1 B 1.40
31 O 0.3783 0.5435 0.5837  1 B 1.36
32 O 0.4178 0.9471 0.3404  1 B 1.36
33 O 0.4439 0.8459 0.7338  1 B 1.41
34 O 0.4758 0.0300 0.0401  1 B 1.40
35 O 0.6090 0.2251 0.3712  1 B 1.41
36 O 0.6221 0.3804 0.6703  1 B 1.40
37 O 0.6520 0.3132 0.0720  1 B 1.38
38 O 0.6728 0.6856 0.8472  1 B 1.38
39 O 0.7020 0.6008 0.2166  1 B 1.39
40 O 0.7326 0.7761 0.5449  1 B 1.38
41 O 0.8510 0.9735 0.8763  1 B 1.41
42 O 0.8733 0.1249 0.1744  1 B 1.40
43 O 0.9028 0.0631 0.5756  1 B 1.38
44 O 0.9277 0.4356 0.3301  1 B 1.38
45 O 0.9541 0.3833 0.7162  1 B 1.41
46 O 0.9908 0.5291 0.0248  1 B 1.42

Run Q
Here is a relaxed Li3Mn4B4O12 crystal from Materials Project. Energies are from PBE with a Hubbard U.

Summary:
Total magnetic moment = 38.00 μB/cell
V = 504.1 Å³ per cell

Cell lengths 5.2849, 9.1379, 11.6133 Å; angles 113.04, 101.37, 90.05 degrees
Closest atoms and distances in Å follow each position.
Space group P1 (No. 1)
Unique sites:
1 Li 0.0000 0.0000 0.0000  4 O 1.91-2.10
2 Li 0.0890 0.3701 0.7623  4 O 1.97-2.09
3 Li 0.2738 0.2227 0.5102  3 O 1.92-1.94
4 Li 0.3645 0.6218 0.3184  4 O 1.94-2.10
5 Li 0.5228 0.4855 0.9985  4 O 1.90-2.10
6 Li 0.7833 0.7243 0.5045  4 O 1.93-2.06
7 Mn 0.0444 0.3559 0.0509  5 O 2.08-2.28
8 Mn 0.0830 0.7254 0.7826  4 O 2.06-2.18
9 Mn 0.2951 0.9102 0.5432  5 O 2.06-2.25
10 Mn 0.3499 0.2767 0.2848  4 O 2.03-2.21
11 Mn 0.5255 0.8186 0.0329  5 O 1.95-2.05
12 Mn 0.6095 0.1897 0.7944  5 O 1.94-2.12
13 Mn 0.7889 0.4131 0.5377  5 O 2.11-2.30
14 Mn 0.8594 0.7963 0.2852  5 O 2.07-2.30
15 B 0.0493 0.6754 0.0340  3 O 1.36-1.41
16 B 0.0849 0.0687 0.7991  3 O 1.35-1.42
17 B 0.2941 0.5773 0.5377  3 O 1.38-1.41
18 B 0.3599 0.9442 0.2928  3 O 1.35-1.41
19 B 0.5280 0.1552 0.0311  3 O 1.35-1.45
20 B 0.5984 0.5436 0.8021  3 O 1.38-1.43
21 B 0.8173 0.0867 0.5558  3 O 1.37-1.42
22 B 0.8503 0.4626 0.2991  3 O 1.38-1.41
23 O 0.0597 0.6145 0.5793  1 B 1.41
24 O 0.0823 0.4407 0.2540  1 B 1.41
25 O 0.1324 0.7987 0.0034  1 B 1.40
26 O 0.2005 0.5557 0.0373  1 B 1.36
27 O 0.2656 0.8314 0.3316  1 B 1.40
28 O 0.2830 0.0933 0.3345  1 B 1.35
29 O 0.2969 0.1858 0.0739  1 B 1.40
30 O 0.3013 0.0460 0.7453  1 B 1.39
31 O 0.3805 0.4273 0.5131  1 B 1.38
32 O 0.4310 0.6912 0.5180  1 B 1.38
33 O 0.4769 0.4143 0.8087  1 B 1.38
34 O 0.4875 0.6927 0.8469  1 B 1.43
35 O 0.5474 0.8988 0.2170  1 B 1.41
36 O 0.5872 0.1037 0.6046  1 B 1.42
37 O 0.6277 0.2660 0.9862  1 B 1.45
38 O 0.6583 0.0282 0.0302  1 B 1.35
39 O 0.7272 0.5993 0.3090  1 B 1.38
40 O 0.7483 0.3518 0.3347  1 B 1.38
41 O 0.8058 0.6782 0.0663  1 B 1.41
42 O 0.8237 0.5324 0.7559  1 B 1.39
43 O 0.8877 0.9324 0.4979  1 B 1.39
44 O 0.9599 0.2196 0.5695  1 B 1.37
45 O 0.9626 0.9498 0.8139  1 B 1.35
46 O 0.9905 0.2221 0.8346  1 B 1.42

Short version: run P is the least stable of them.